# 1
Compound: PmHg3
Source: the Materials Project database
Functional: PBE-GGA
Structure: relaxed

Unit cell a=7.352 b=7.352 c=7.352 alpha=90.00 beta=90.00 gamma=90.00
Fractional coordinates of all 16 atoms:
Pm1 0.000 0.000 0.000
Pm2 0.000 0.500 0.500
Pm3 0.500 0.000 0.500
Pm4 0.500 0.500 0.000
Hg1 0.000 0.000 0.500
Hg2 0.000 0.500 0.000
Hg3 0.250 0.250 0.250
Hg4 0.250 0.250 0.750
Hg5 0.250 0.750 0.250
Hg6 0.250 0.750 0.750
Hg7 0.500 0.000 0.000
Hg8 0.500 0.500 0.500
Hg9 0.750 0.250 0.250
Hg10 0.750 0.250 0.750
Hg11 0.750 0.750 0.250
Hg12 0.750 0.750 0.750

# 2
Compound: Ca2Sn3O8
Source: the Materials Project database
Functional: PBE-GGA
Structure: relaxed

Unit cell a=6.585 b=6.585 c=5.407 alpha=108.03 beta=108.03 gamma=58.38
Fractional coordinates of all 13 atoms:
Ca1 0.220 0.220 0.158
Ca2 0.780 0.780 0.842
Sn1 0.237 0.763 0.500
Sn2 0.500 0.500 0.000
Sn3 0.763 0.237 0.500
O1 0.111 0.111 0.448
O2 0.169 0.613 0.101
O3 0.387 0.831 0.899
O4 0.398 0.398 0.585
O5 0.602 0.602 0.415
O6 0.613 0.169 0.101
O7 0.831 0.387 0.899
O8 0.889 0.889 0.552

Output
Energy above the most stable polymorph in this dataset (kcal/mol of atoms): 0.000

# 3
Compound: Li2Mo3S4
Source: the Materials Project database
Functional: PBE-GGA
Structure: relaxed

Unit cell a=6.705 b=6.710 c=6.710 alpha=95.15 beta=95.10 gamma=94.07
Fractional coordinates of all 18 atoms:
Li1 0.000 0.000 0.000
Li2 0.004 0.632 0.577
Li3 0.044 0.486 0.080
Li4 0.458 0.616 0.956
Mo1 0.258 0.148 0.393
Mo2 0.440 0.836 0.524
Mo3 0.481 0.191 0.747
Mo4 0.570 0.013 0.213
Mo5 0.611 0.368 0.434
Mo6 0.792 0.057 0.568
S1 0.159 0.980 0.690
S2 0.241 0.813 0.193
S3 0.314 0.473 0.606
S4 0.394 0.313 0.112
S5 0.653 0.893 0.850
S6 0.736 0.731 0.351
S7 0.812 0.387 0.768
S8 0.892 0.226 0.270

# 4
Compound: CaEuZrTiO6
Source: the Materials Project database
Functional: PBE-GGA
Structure: relaxed

Unit cell a=5.692 b=5.692 c=5.692 alpha=60.00 beta=60.00 gamma=60.00
Fractional coordinates of all 10 atoms:
Ca1 0.000 0.000 0.000
Eu1 0.500 0.500 0.500
Zr1 0.250 0.250 0.250
Ti1 0.750 0.750 0.750
O1 0.508 0.508 0.992
O2 0.508 0.992 0.508
O3 0.508 0.992 0.992
O4 0.992 0.508 0.508
O5 0.992 0.508 0.992
O6 0.992 0.992 0.508

Output
M_tot (Bohr magnetons per cell): 7.00

# 5
Compound: HoHSe
Source: the Materials Project database
Functional: PBE-GGA
Structure: relaxed

Unit cell a=3.823 b=3.823 c=3.896 alpha=90.00 beta=90.00 gamma=120.00
Fractional coordinates of all 3 atoms:
Ho1 0.000 0.000 0.000
H1 0.667 0.333 0.000
Se1 0.333 0.667 0.500

Output
Maximum piezoelectric response (C/m²): 0.49

# 6
Compound: V5Ge3
Source: the Materials Project database
Functional: PBE-GGA
Structure: relaxed

Unit cell a=7.193 b=7.193 c=7.193 alpha=96.54 beta=96.54 gamma=140.57
Fractional coordinates of all 16 atoms:
V1 0.075 0.771 0.846
V2 0.229 0.075 0.303
V3 0.250 0.750 0.500
V4 0.271 0.575 0.846
V5 0.425 0.271 0.697
V6 0.575 0.729 0.303
V7 0.729 0.425 0.154
V8 0.750 0.250 0.500
V9 0.771 0.925 0.697
V10 0.925 0.229 0.154
Ge1 0.166 0.334 0.500
Ge2 0.250 0.250 0.000
Ge3 0.334 0.834 0.167
Ge4 0.666 0.166 0.833
Ge5 0.750 0.750 0.000
Ge6 0.834 0.666 0.500

Output
M_tot (Bohr magnetons per cell): 0.00
Energy above the most stable polymorph in this dataset (kcal/mol of atoms): 0.000

no.,energy of formation from the pure elements (kJ/mol of formula units)
1,-143
2,-3204
3,-994
4,-3387
5,-460
6,-286